Density functional theory data (PBE-GGA) for crystalline Na2DyCuCl6 at its relaxed geometry.

The space group is Fm-3m (No. 225) and the conventional cell measures 10.255, 10.255 and 10.255 Å, with angles of 90.00, 90.00 and 90.00 degrees. The inequivalent atoms are Na at (0.250, 0.250, 0.250), Dy at (0.000, 0.000, 0.000), Cu at (0.000, 0.000, 0.500) and Cl at (0.000, 0.000, 0.255).

The energy with MP2020 corrections comes out at -166.7 eV for the cell shown. As for the calculated formation energy: -1855 kJ/mol of formula units.